# Sr3CoN3

Sr3CoN3 after structural relaxation (PBE-GGA, the Materials Project).

a b c (Å): 7.5925 7.5925 5.2777
angles (deg): 90.00 90.00 120.00
Space group P6_3/m (No. 176)
Symmetry-distinct sites (fractional):
Sr  0.0837  0.3620  0.2500
Co  0.3333  0.6667  0.7500
N  0.1143  0.4232  0.7500


# Li4CuP2O8

Li4CuP2O8 after structural relaxation (PBE-GGA, the Materials Project).

Computed properties:
Energy above the most stable polymorph in this dataset: 28 meV per atom

a b c (Å): 5.247 6.383 9.946
angles (deg): 90.44 90.30 90.46
Space group P1 (No. 1)
Symmetry-distinct sites (fractional):
Li  0.000  0.000  0.000
Li  0.001  0.004  0.499
Li  0.014  0.511  0.496
Li  0.172  0.255  0.259
Li  0.173  0.248  0.746
Li  0.647  0.520  0.259
Li  0.653  0.998  0.253
Li  0.656  0.001  0.746
Cu  0.007  0.505  0.011
Cu  0.651  0.525  0.741
P  0.149  0.762  0.740
P  0.152  0.759  0.250
P  0.510  0.255  0.501
P  0.514  0.251  0.000
O  0.018  0.555  0.301
O  0.020  0.962  0.302
O  0.021  0.551  0.799
O  0.022  0.958  0.803
O  0.116  0.758  0.589
O  0.117  0.760  0.092
O  0.227  0.253  0.049
O  0.227  0.258  0.549
O  0.434  0.758  0.784
O  0.436  0.760  0.284
O  0.513  0.254  0.842
O  0.518  0.260  0.345
O  0.646  0.456  0.054
O  0.651  0.060  0.054
O  0.651  0.462  0.552
O  0.654  0.067  0.557


# Ta2Hg3SO4F10

Ta2Hg3SO4F10 after structural relaxation (PBE-GGA, the Materials Project).

a b c (Å): 16.006 18.705 9.499
angles (deg): 90.00 90.00 90.00
Space group Fdd2 (No. 43)
Symmetry-distinct sites (fractional):
Ta  0.061  0.307  0.000
Hg  0.000  0.000  0.261
Hg  0.115  0.099  0.222
S  0.000  0.000  0.862
O  0.041  0.446  0.451
O  0.062  0.036  0.765
F  0.043  0.205  0.010
F  0.057  0.182  0.488
F  0.063  0.312  0.202
F  0.075  0.305  0.801
F  0.076  0.408  0.994


# Ti3TePb4O13

Ti3TePb4O13 after structural relaxation (PBE-GGA, the Materials Project).

a b c (Å): 7.3783 7.3783 18.2412
angles (deg): 90.00 90.00 120.00
Space group R3m (No. 160, hexagonal axes)
Symmetry-distinct sites (fractional):
Ti  0.1674  0.3348  0.0000
Te  0.0000  0.0000  0.1671
Pb  0.0000  0.0000  0.6688
Pb  0.1699  0.3397  0.4997
O  0.0000  0.0000  0.5411
O  0.0774  0.5387  0.7757
O  0.0820  0.5410  0.0232
O  0.2054  0.4108  0.6434
O  0.2068  0.4137  0.8929


# Lu3Hg

Lu3Hg after structural relaxation (PBE-GGA, the Materials Project).

a b c (Å): 4.715 4.715 4.715
angles (deg): 90.00 90.00 90.00
Space group Pm-3m (No. 221)
Symmetry-distinct sites (fractional):
Lu  0.000  0.000  0.500
Hg  0.500  0.500  0.500


# EuTiAgO4

EuTiAgO4 after structural relaxation (PBE-GGA, the Materials Project).

a b c (Å): 13.562 5.246 5.229
angles (deg): 90.00 90.00 90.00
Space group Pbcm (No. 57)
Symmetry-distinct sites (fractional):
Eu  0.103  0.007  0.250
Ti  0.266  0.502  0.250
Ag  0.426  0.509  0.750
O  0.065  0.020  0.750
O  0.223  0.750  0.000
O  0.229  0.250  0.000
O  0.399  0.509  0.250


# UB8O17

UB8O17 after structural relaxation (PBE-GGA, the Materials Project).

a b c (Å): 6.601 16.697 11.125
angles (deg): 90.00 90.03 90.00
Space group Cc (No. 9)
Symmetry-distinct sites (fractional):
U  0.000  0.232  0.000
B  0.006  0.308  0.336
B  0.048  0.299  0.564
B  0.168  0.202  0.737
B  0.185  0.060  0.331
B  0.303  0.269  0.201
B  0.338  0.063  0.748
B  0.397  0.442  0.968
B  0.424  0.071  0.170
O  0.015  0.127  0.030
O  0.037  0.383  0.595
O  0.052  0.096  0.409
O  0.100  0.275  0.225
O  0.122  0.287  0.442
O  0.201  0.122  0.689
O  0.208  0.022  0.835
O  0.210  0.259  0.639
O  0.247  0.488  0.918
O  0.291  0.218  0.844
O  0.294  0.107  0.253
O  0.343  0.437  0.085
O  0.348  0.243  0.087
O  0.435  0.011  0.662
O  0.455  0.289  0.281
O  0.497  0.164  0.472
O  0.499  0.104  0.818


# AlPO4

AlPO4 after structural relaxation (PBE-GGA, the Materials Project).

a b c (Å): 15.057 28.286 8.634
angles (deg): 90.00 90.00 90.00
Space group Iba2 (No. 45)
Symmetry-distinct sites (fractional):
Al  0.093  0.222  0.000
Al  0.095  0.055  0.005
Al  0.102  0.327  0.502
Al  0.223  0.137  0.504
P  0.096  0.329  0.128
P  0.099  0.221  0.627
P  0.101  0.053  0.626
P  0.217  0.139  0.131
O  0.002  0.342  0.075
O  0.011  0.201  0.563
O  0.012  0.072  0.562
O  0.090  0.232  0.800
O  0.100  0.056  0.804
O  0.104  0.336  0.303
O  0.115  0.276  0.089
O  0.116  0.002  0.574
O  0.125  0.267  0.541
O  0.163  0.361  0.046
O  0.173  0.180  0.046
O  0.173  0.184  0.604
O  0.175  0.092  0.081
O  0.178  0.084  0.565
O  0.183  0.362  0.589
O  0.206  0.145  0.306


Table of total energy (eV/atom), in record order: -5.828 -6.235 -5.670 -7.019 -3.616 -8.098 -7.839 -7.477
Table of DFT formation energy (eV per atom), in record order: -0.671 -2.459 -2.653 -2.397 -0.150 -2.666 -2.563 -3.110
Table of total magnetic moment (μB per formula unit), in record order: 1.482 1.000 0.005 0.001 0.450 6.000 4.000 0.000